[1]
Material: TaV2
Method: DFT, GGA-PBE
State: relaxed

Lattice parameters (Å, degrees): 5.038 5.038 5.038 60.00 60.00 60.00
Sites, in units of the cell vectors:
1 Ta 0.125 0.125 0.125
2 Ta 0.875 0.875 0.875
3 V 0.000 0.500 0.500
4 V 0.500 0.000 0.500
5 V 0.500 0.500 0.000
6 V 0.500 0.500 0.500

Calculated formation energy   -0.10 eV/atom
Uncorrected energy   -10.11 eV per atom
SG   Fd-3m

[2]
Material: RbCl
Method: DFT, GGA-PBE
State: relaxed

Lattice parameters (Å, degrees): 6.699 6.699 6.699 90.00 90.00 90.00
Sites, in units of the cell vectors:
1 Rb 0.000 0.000 0.000
2 Rb 0.000 0.500 0.500
3 Rb 0.500 0.000 0.500
4 Rb 0.500 0.500 0.000
5 Cl 0.000 0.000 0.500
6 Cl 0.000 0.500 0.000
7 Cl 0.500 0.000 0.000
8 Cl 0.500 0.500 0.500

Calculated formation energy   -2.24 eV/atom
Uncorrected energy   -3.35 eV per atom
SG   Fm-3m

[3]
Material: KZr2As3O12
Method: DFT, GGA-PBE
State: relaxed

Lattice parameters (Å, degrees): 9.880 9.880 9.880 55.85 55.85 55.85
Sites, in units of the cell vectors:
1 K 0.000 0.000 0.000
2 K 0.500 0.500 0.500
3 Zr 0.148 0.148 0.148
4 Zr 0.352 0.352 0.352
5 Zr 0.648 0.648 0.648
6 Zr 0.852 0.852 0.852
7 As 0.034 0.750 0.466
8 As 0.250 0.534 0.966
9 As 0.466 0.034 0.750
10 As 0.534 0.966 0.250
11 As 0.750 0.466 0.034
12 As 0.966 0.250 0.534
13 O 0.011 0.761 0.645
14 O 0.067 0.932 0.285
15 O 0.068 0.715 0.933
16 O 0.145 0.261 0.511
17 O 0.215 0.568 0.433
18 O 0.239 0.355 0.989
19 O 0.261 0.511 0.145
20 O 0.285 0.067 0.932
21 O 0.355 0.989 0.239
22 O 0.432 0.567 0.785
23 O 0.433 0.215 0.568
24 O 0.489 0.855 0.739
25 O 0.511 0.145 0.261
26 O 0.567 0.785 0.432
27 O 0.568 0.433 0.215
28 O 0.645 0.011 0.761
29 O 0.715 0.933 0.068
30 O 0.739 0.489 0.855
31 O 0.761 0.645 0.011
32 O 0.785 0.432 0.567
33 O 0.855 0.739 0.489
34 O 0.932 0.285 0.067
35 O 0.933 0.068 0.715
36 O 0.989 0.239 0.355

Calculated formation energy   -2.53 eV/atom
Uncorrected energy   -7.15 eV per atom
SG   R-3c

[4]
Material: NaLa4PS5O24
Method: DFT, GGA-PBE
State: relaxed

Lattice parameters (Å, degrees): 9.580 9.581 25.191 90.00 90.00 60.13
Sites, in units of the cell vectors:
1 Na 0.000 0.000 0.000
2 Na 0.000 0.014 0.492
3 Na 0.340 0.340 0.159
4 La 0.324 0.343 0.313
5 La 0.326 0.339 0.514
6 La 0.332 0.342 0.809
7 La 0.340 0.341 0.016
8 La 0.658 0.681 0.178
9 La 0.658 0.683 0.979
10 La 0.665 0.674 0.681
11 La 0.672 0.667 0.472
12 La 0.998 0.000 0.141
13 La 0.998 0.016 0.345
14 La 0.999 0.007 0.846
15 La 0.999 0.008 0.644
16 P 0.041 0.336 0.413
17 P 0.370 0.675 0.078
18 P 0.665 0.969 0.078
19 S 0.000 0.712 0.245
20 S 0.039 0.635 0.912
21 S 0.291 0.011 0.244
22 S 0.291 0.715 0.745
23 S 0.328 0.637 0.413
24 S 0.329 0.050 0.911
25 S 0.373 0.964 0.578
26 S 0.627 0.049 0.413
27 S 0.628 0.340 0.911
28 S 0.667 0.380 0.578
29 S 0.702 0.302 0.244
30 S 0.706 0.008 0.745
31 S 0.956 0.678 0.578
32 S 0.960 0.379 0.078
33 S 0.999 0.300 0.745
34 O 0.022 0.184 0.407
35 O 0.023 0.199 0.697
36 O 0.023 0.797 0.906
37 O 0.025 0.789 0.197
38 O 0.117 0.535 0.572
39 O 0.119 0.538 0.863
40 O 0.122 0.357 0.362
41 O 0.123 0.362 0.073
42 O 0.141 0.559 0.959
43 O 0.142 0.317 0.752
44 O 0.147 0.550 0.250
45 O 0.148 0.313 0.463
46 O 0.183 0.798 0.407
47 O 0.184 0.032 0.905
48 O 0.190 0.033 0.197
49 O 0.190 0.792 0.697
50 O 0.200 0.828 0.083
51 O 0.209 0.983 0.584
52 O 0.214 0.816 0.792
53 O 0.214 0.991 0.292
54 O 0.305 0.150 0.959
55 O 0.307 0.555 0.752
56 O 0.307 0.558 0.460
57 O 0.309 0.156 0.250
58 O 0.347 0.129 0.863
59 O 0.350 0.523 0.073
60 O 0.350 0.540 0.364
61 O 0.356 0.124 0.572
62 O 0.449 0.864 0.530
63 O 0.451 0.699 0.737
64 O 0.451 0.867 0.239
65 O 0.453 0.693 0.027
66 O 0.469 0.887 0.626
67 O 0.471 0.654 0.419
68 O 0.472 0.655 0.128
69 O 0.472 0.890 0.917
70 O 0.512 0.140 0.073
71 O 0.524 0.363 0.571
72 O 0.530 0.357 0.863
73 O 0.531 0.125 0.364
74 O 0.540 0.318 0.250
75 O 0.546 0.151 0.752
76 O 0.550 0.150 0.460
77 O 0.553 0.313 0.959
78 O 0.642 0.889 0.419
79 O 0.645 0.482 0.918
80 O 0.647 0.886 0.129
81 O 0.648 0.477 0.626
82 O 0.686 0.868 0.028
83 O 0.688 0.461 0.238
84 O 0.689 0.864 0.737
85 O 0.692 0.457 0.530
86 O 0.781 0.199 0.197
87 O 0.783 0.032 0.697
88 O 0.790 0.030 0.407
89 O 0.790 0.193 0.905
90 O 0.800 0.223 0.292
91 O 0.807 0.983 0.792
92 O 0.812 0.218 0.584
93 O 0.817 0.989 0.082
94 O 0.855 0.460 0.737
95 O 0.856 0.701 0.530
96 O 0.857 0.695 0.238
97 O 0.864 0.456 0.030
98 O 0.874 0.486 0.420
99 O 0.879 0.658 0.626
100 O 0.880 0.651 0.918
101 O 0.883 0.476 0.126
102 O 0.974 0.223 0.792
103 O 0.974 0.822 0.584
104 O 0.978 0.217 0.083
105 O 0.982 0.810 0.293

Calculated formation energy   -2.73 eV/atom
Uncorrected energy   -7.00 eV per atom
SG   P1

[5]
Material: CuH36C8N10O8
Method: DFT, GGA-PBE
State: relaxed

Lattice parameters (Å, degrees): 12.482 12.482 13.452 105.06 105.06 32.77
Sites, in units of the cell vectors:
1 Cu 0.198 0.802 0.750
2 Cu 0.802 0.198 0.250
3 H 0.004 0.404 0.222
4 H 0.024 0.590 0.659
5 H 0.052 0.737 0.639
6 H 0.059 0.640 0.449
7 H 0.069 0.329 0.796
8 H 0.111 0.807 0.373
9 H 0.115 0.734 0.151
10 H 0.124 0.147 0.053
11 H 0.136 0.476 0.260
12 H 0.147 0.124 0.553
13 H 0.150 0.602 0.036
14 H 0.167 0.759 0.552
15 H 0.179 0.276 0.522
16 H 0.193 0.889 0.127
17 H 0.210 0.352 0.085
18 H 0.241 0.833 0.948
19 H 0.263 0.343 0.434
20 H 0.263 0.948 0.861
21 H 0.266 0.885 0.349
22 H 0.276 0.179 0.022
23 H 0.303 0.402 0.888
24 H 0.323 0.576 0.433
25 H 0.329 0.069 0.296
26 H 0.343 0.263 0.934
27 H 0.350 0.608 0.327
28 H 0.352 0.210 0.585
29 H 0.359 0.480 0.124
30 H 0.360 0.941 0.051
31 H 0.392 0.650 0.173
32 H 0.398 0.850 0.464
33 H 0.402 0.303 0.388
34 H 0.404 0.004 0.722
35 H 0.410 0.976 0.841
36 H 0.424 0.677 0.067
37 H 0.476 0.136 0.760
38 H 0.480 0.359 0.624
39 H 0.520 0.641 0.376
40 H 0.524 0.864 0.240
41 H 0.576 0.323 0.933
42 H 0.590 0.024 0.159
43 H 0.596 0.996 0.278
44 H 0.598 0.697 0.612
45 H 0.602 0.150 0.536
46 H 0.608 0.350 0.827
47 H 0.640 0.059 0.949
48 H 0.641 0.520 0.876
49 H 0.648 0.790 0.415
50 H 0.650 0.392 0.673
51 H 0.657 0.737 0.066
52 H 0.671 0.931 0.704
53 H 0.677 0.424 0.567
54 H 0.697 0.598 0.112
55 H 0.724 0.821 0.978
56 H 0.734 0.115 0.651
57 H 0.737 0.052 0.139
58 H 0.737 0.657 0.566
59 H 0.759 0.167 0.052
60 H 0.790 0.648 0.915
61 H 0.807 0.111 0.873
62 H 0.821 0.724 0.478
63 H 0.833 0.241 0.448
64 H 0.850 0.398 0.964
65 H 0.853 0.876 0.447
66 H 0.864 0.524 0.740
67 H 0.876 0.853 0.947
68 H 0.885 0.266 0.849
69 H 0.889 0.193 0.627
70 H 0.931 0.671 0.204
71 H 0.941 0.360 0.551
72 H 0.948 0.263 0.361
73 H 0.976 0.410 0.341
74 H 0.996 0.596 0.778
75 C 0.074 0.689 0.776
76 C 0.187 0.720 0.935
77 C 0.215 0.621 0.090
78 C 0.271 0.685 0.397
79 C 0.280 0.813 0.565
80 C 0.311 0.926 0.724
81 C 0.315 0.729 0.103
82 C 0.379 0.785 0.410
83 C 0.621 0.215 0.590
84 C 0.685 0.271 0.897
85 C 0.689 0.074 0.276
86 C 0.720 0.187 0.435
87 C 0.729 0.315 0.603
88 C 0.785 0.379 0.910
89 C 0.813 0.280 0.065
90 C 0.926 0.311 0.224
91 N 0.017 0.339 0.268
92 N 0.104 0.728 0.714
93 N 0.120 0.673 0.879
94 N 0.200 0.795 0.895
95 N 0.205 0.800 0.605
96 N 0.244 0.683 0.037
97 N 0.272 0.896 0.786
98 N 0.317 0.756 0.463
99 N 0.327 0.880 0.621
100 N 0.339 0.017 0.768
101 N 0.661 0.983 0.232
102 N 0.673 0.120 0.379
103 N 0.683 0.244 0.537
104 N 0.728 0.104 0.214
105 N 0.756 0.317 0.963
106 N 0.795 0.200 0.395
107 N 0.800 0.205 0.105
108 N 0.880 0.327 0.121
109 N 0.896 0.272 0.286
110 N 0.983 0.661 0.732
111 O 0.055 0.525 0.193
112 O 0.058 0.237 0.512
113 O 0.233 0.307 0.536
114 O 0.237 0.058 0.012
115 O 0.262 0.394 0.387
116 O 0.307 0.233 0.036
117 O 0.394 0.262 0.887
118 O 0.475 0.945 0.307
119 O 0.525 0.055 0.693
120 O 0.606 0.738 0.113
121 O 0.693 0.767 0.964
122 O 0.738 0.606 0.613
123 O 0.763 0.942 0.988
124 O 0.767 0.693 0.464
125 O 0.942 0.763 0.488
126 O 0.945 0.475 0.807

Calculated formation energy   -0.55 eV/atom
Uncorrected energy   -5.59 eV per atom
SG   C2/c

[6]
Material: LiCuH4Cl3O2
Method: DFT, GGA-PBE
State: relaxed

Lattice parameters (Å, degrees): 6.191 11.230 9.314 90.00 107.61 90.00
Sites, in units of the cell vectors:
1 Li 0.060 0.017 0.163
2 Li 0.060 0.483 0.663
3 Li 0.940 0.517 0.337
4 Li 0.940 0.983 0.837
5 Cu 0.332 0.509 0.116
6 Cu 0.332 0.991 0.616
7 Cu 0.668 0.009 0.384
8 Cu 0.668 0.491 0.884
9 H 0.109 0.689 0.551
10 H 0.109 0.811 0.051
11 H 0.296 0.201 0.240
12 H 0.296 0.299 0.740
13 H 0.306 0.607 0.537
14 H 0.306 0.893 0.037
15 H 0.387 0.147 0.115
16 H 0.387 0.353 0.615
17 H 0.613 0.647 0.385
18 H 0.613 0.853 0.885
19 H 0.694 0.107 0.963
20 H 0.694 0.393 0.463
21 H 0.704 0.701 0.260
22 H 0.704 0.799 0.760
23 H 0.891 0.189 0.949
24 H 0.891 0.311 0.449
25 Cl 0.044 0.632 0.122
26 Cl 0.044 0.868 0.622
27 Cl 0.295 0.101 0.818
28 Cl 0.295 0.399 0.318
29 Cl 0.391 0.615 0.916
30 Cl 0.391 0.885 0.416
31 Cl 0.609 0.115 0.584
32 Cl 0.609 0.385 0.084
33 Cl 0.705 0.601 0.682
34 Cl 0.705 0.899 0.182
35 Cl 0.956 0.132 0.378
36 Cl 0.956 0.368 0.878
37 O 0.142 0.607 0.524
38 O 0.142 0.893 0.024
39 O 0.330 0.125 0.198
40 O 0.330 0.375 0.698
41 O 0.670 0.625 0.302
42 O 0.670 0.875 0.802
43 O 0.858 0.107 0.976
44 O 0.858 0.393 0.476

Calculated formation energy   -1.16 eV/atom
Uncorrected energy   -4.22 eV per atom
SG   P2_1/c

[7]
Material: HfGeRu
Method: DFT, GGA-PBE
State: relaxed

Lattice parameters (Å, degrees): 6.742 6.742 3.765 90.00 90.00 120.00
Sites, in units of the cell vectors:
1 Hf 0.000 0.416 0.000
2 Hf 0.416 0.000 0.000
3 Hf 0.584 0.584 0.000
4 Ge 0.000 0.000 0.000
5 Ge 0.333 0.667 0.500
6 Ge 0.667 0.333 0.500
7 Ru 0.000 0.754 0.500
8 Ru 0.246 0.246 0.500
9 Ru 0.754 0.000 0.500

Calculated formation energy   -0.75 eV/atom
Uncorrected energy   -8.70 eV per atom
SG   P-62m

[8]
Material: Nb3SiTe6
Method: DFT, GGA-PBE
State: relaxed

Lattice parameters (Å, degrees): 6.419 14.941 11.638 90.00 90.00 90.00
Sites, in units of the cell vectors:
1 Nb 0.032 0.250 0.188
2 Nb 0.167 0.750 0.336
3 Nb 0.198 0.750 0.034
4 Nb 0.302 0.250 0.534
5 Nb 0.333 0.250 0.836
6 Nb 0.468 0.750 0.688
7 Nb 0.532 0.250 0.312
8 Nb 0.667 0.750 0.164
9 Nb 0.698 0.750 0.466
10 Nb 0.802 0.250 0.966
11 Nb 0.833 0.250 0.664
12 Nb 0.968 0.750 0.812
13 Si 0.075 0.750 0.575
14 Si 0.425 0.250 0.075
15 Si 0.575 0.750 0.925
16 Si 0.925 0.250 0.425
17 Te 0.144 0.128 0.998
18 Te 0.144 0.372 0.998
19 Te 0.151 0.122 0.683
20 Te 0.151 0.378 0.683
21 Te 0.204 0.125 0.345
22 Te 0.204 0.375 0.345
23 Te 0.296 0.625 0.845
24 Te 0.296 0.875 0.845
25 Te 0.349 0.622 0.183
26 Te 0.349 0.878 0.183
27 Te 0.356 0.628 0.498
28 Te 0.356 0.872 0.498
29 Te 0.644 0.128 0.502
30 Te 0.644 0.372 0.502
31 Te 0.651 0.122 0.817
32 Te 0.651 0.378 0.817
33 Te 0.704 0.125 0.155
34 Te 0.704 0.375 0.155
35 Te 0.796 0.625 0.655
36 Te 0.796 0.875 0.655
37 Te 0.849 0.622 0.317
38 Te 0.849 0.878 0.317
39 Te 0.856 0.628 0.002
40 Te 0.856 0.872 0.002

Calculated formation energy   -0.74 eV/atom
Uncorrected energy   -5.94 eV per atom
SG   Pnma

[9]
Material: SrCaTbBiO6
Method: DFT, GGA-PBE
State: relaxed

Lattice parameters (Å, degrees): 6.071 6.071 6.071 60.00 60.00 60.00
Sites, in units of the cell vectors:
1 Sr 0.000 0.000 0.000
2 Ca 0.500 0.500 0.500
3 Tb 0.250 0.250 0.250
4 Bi 0.750 0.750 0.750
5 O 0.506 0.506 0.994
6 O 0.506 0.994 0.506
7 O 0.506 0.994 0.994
8 O 0.994 0.506 0.506
9 O 0.994 0.506 0.994
10 O 0.994 0.994 0.506

Calculated formation energy   -2.67 eV/atom
Uncorrected energy   -6.45 eV per atom
SG   F-43m